DFT (PBE-GGA) results for an optimized crystal structure of Na14Ca4Ga4Si5S7O48.

Calculated values
For the magnetization, the calculation gives 0.00 μB/f.u. For the calculated formation energy, the calculation gives -2432 meV/atom. The total energy is -6.08 eV/atom. For the MP2020-corrected energy, the calculation gives -531.672 eV per formula unit. Its symmetry is P1.

Cell: 9.126 16.071 22.438 Å, 89.50 89.81 89.85°
Element x y z (fractional)
Na (0.000, 0.000, 0.000)
Na (0.001, 0.024, 0.671)
Na (0.027, 0.353, 0.659)
Na (0.032, 0.669, 0.006)
Na (0.066, 0.011, 0.335)
Na (0.160, 0.862, 0.426)
Na (0.168, 0.866, 0.916)
Na (0.169, 0.521, 0.588)
Na (0.172, 0.506, 0.086)
Na (0.177, 0.167, 0.247)
Na (0.182, 0.165, 0.742)
Na (0.281, 0.012, 0.831)
Na (0.314, 0.676, 0.516)
Na (0.320, 0.342, 0.167)
Na (0.349, 0.000, 0.498)
Na (0.351, 0.029, 0.176)
Na (0.356, 0.331, 0.833)
Na (0.360, 0.693, 0.819)
Na (0.373, 0.358, 0.503)
Na (0.480, 0.196, 0.334)
Na (0.480, 0.870, 0.006)
Na (0.493, 0.836, 0.339)
Na (0.497, 0.529, 0.668)
Na (0.499, 0.493, 0.998)
Na (0.525, 0.844, 0.663)
Na (0.531, 0.176, 0.016)
Na (0.565, 0.510, 0.336)
Na (0.660, 0.666, 0.247)
Na (0.666, 0.014, 0.582)
Na (0.666, 0.351, 0.425)
Na (0.668, 0.669, 0.742)
Na (0.677, 0.023, 0.090)
Na (0.683, 0.358, 0.925)
Na (0.776, 0.511, 0.830)
Na (0.804, 0.172, 0.507)
Na (0.816, 0.857, 0.169)
Na (0.843, 0.495, 0.501)
Na (0.843, 0.520, 0.179)
Na (0.859, 0.189, 0.831)
Na (0.860, 0.838, 0.833)
Na (0.980, 0.336, 0.339)
Na (0.983, 0.691, 0.335)
Ca (0.163, 0.853, 0.077)
Ca (0.165, 0.172, 0.902)
Ca (0.172, 0.514, 0.439)
Ca (0.174, 0.848, 0.759)
Ca (0.179, 0.854, 0.265)
Ca (0.182, 0.166, 0.404)
Ca (0.666, 0.355, 0.763)
Ca (0.666, 0.665, 0.901)
Ca (0.670, 0.348, 0.260)
Ca (0.672, 0.015, 0.938)
Ca (0.676, 0.348, 0.574)
Ca (0.679, 0.673, 0.402)
Ga (0.158, 0.501, 0.935)
Ga (0.176, 0.162, 0.104)
Ga (0.181, 0.534, 0.725)
Ga (0.182, 0.514, 0.236)
Ga (0.186, 0.855, 0.578)
Ga (0.189, 0.146, 0.588)
Ga (0.663, 0.355, 0.079)
Ga (0.667, 0.038, 0.228)
Ga (0.668, 0.014, 0.441)
Ga (0.668, 0.663, 0.603)
Ga (0.669, 0.017, 0.733)
Ga (0.680, 0.659, 0.097)
Si (0.003, 0.006, 0.169)
Si (0.016, 0.016, 0.502)
Si (0.323, 0.027, 0.001)
Si (0.330, 0.700, 0.664)
Si (0.335, 0.000, 0.670)
Si (0.399, 0.010, 0.333)
Si (0.441, 0.511, 0.835)
Si (0.480, 0.178, 0.496)
Si (0.510, 0.501, 0.168)
Si (0.515, 0.200, 0.164)
Si (0.519, 0.528, 0.501)
Si (0.829, 0.518, 0.002)
Si (0.839, 0.505, 0.670)
Si (0.883, 0.511, 0.330)
Si (0.962, 0.011, 0.831)
S (0.013, 0.688, 0.166)
S (0.025, 0.368, 0.835)
S (0.030, 0.321, 0.504)
S (0.030, 0.655, 0.837)
S (0.315, 0.364, 0.332)
S (0.319, 0.660, 0.331)
S (0.322, 0.331, 0.001)
S (0.353, 0.344, 0.670)
S (0.375, 0.677, 0.003)
S (0.491, 0.839, 0.166)
S (0.520, 0.829, 0.502)
S (0.525, 0.161, 0.832)
S (0.526, 0.863, 0.834)
S (0.815, 0.818, 0.004)
S (0.816, 0.156, 0.336)
S (0.817, 0.869, 0.335)
S (0.829, 0.188, 0.670)
S (0.867, 0.845, 0.667)
S (0.874, 0.186, 0.005)
S (0.969, 0.686, 0.505)
S (0.976, 0.344, 0.166)
O (0.000, 0.517, 0.271)
O (0.010, 0.947, 0.110)
O (0.013, 0.518, 0.994)
O (0.019, 0.508, 0.681)
O (0.036, 0.084, 0.558)
O (0.044, 0.739, 0.219)
O (0.046, 0.420, 0.890)
O (0.055, 0.606, 0.508)
O (0.059, 0.097, 0.825)
O (0.062, 0.278, 0.447)
O (0.063, 0.604, 0.784)
O (0.064, 0.926, 0.829)
O (0.067, 0.423, 0.166)
O (0.071, 0.727, 0.111)
O (0.072, 0.756, 0.511)
O (0.073, 0.602, 0.171)
O (0.076, 0.274, 0.153)
O (0.079, 0.410, 0.781)
O (0.081, 0.614, 0.894)
O (0.082, 0.098, 0.161)
O (0.086, 0.273, 0.556)
O (0.094, 0.966, 0.225)
O (0.100, 0.405, 0.505)
O (0.101, 0.286, 0.841)
O (0.102, 0.047, 0.443)
O (0.102, 0.738, 0.834)
O (0.102, 0.927, 0.520)
O (0.235, 0.284, 0.331)
O (0.240, 0.740, 0.324)
O (0.247, 0.933, 0.005)
O (0.249, 0.090, 0.657)
O (0.250, 0.273, 0.664)
O (0.253, 0.753, 0.609)
O (0.256, 0.969, 0.730)
O (0.259, 0.418, 0.998)
O (0.263, 0.289, 0.054)
O (0.265, 0.411, 0.277)
O (0.267, 0.063, 0.937)
O (0.267, 0.423, 0.673)
O (0.267, 0.603, 0.665)
O (0.268, 0.623, 0.387)
O (0.274, 0.090, 0.056)
O (0.274, 0.748, 0.012)
O (0.283, 0.412, 0.386)
O (0.288, 0.598, 0.003)
O (0.291, 0.286, 0.945)
O (0.291, 0.603, 0.280)
O (0.293, 0.093, 0.329)
O (0.297, 0.926, 0.335)
O (0.313, 0.935, 0.614)
O (0.315, 0.746, 0.727)
O (0.327, 0.505, 0.176)
O (0.333, 0.192, 0.155)
O (0.337, 0.504, 0.897)
O (0.338, 0.518, 0.775)
O (0.341, 0.521, 0.509)
O (0.354, 0.837, 0.506)
O (0.359, 0.161, 0.550)
O (0.364, 0.176, 0.831)
O (0.365, 0.850, 0.832)
O (0.395, 0.848, 0.112)
O (0.396, 0.201, 0.435)
O (0.401, 0.825, 0.220)
O (0.441, 0.331, 0.725)
O (0.450, 0.353, 0.617)
O (0.451, 0.692, 0.946)
O (0.476, 0.351, 0.330)
O (0.479, 0.675, 0.331)
O (0.484, 0.669, 0.053)
O (0.487, 0.339, 0.003)
O (0.501, 0.016, 0.272)
O (0.501, 0.019, 0.009)
O (0.506, 0.001, 0.392)
O (0.511, 0.693, 0.655)
O (0.518, 0.004, 0.677)
O (0.527, 0.249, 0.226)
O (0.532, 0.436, 0.111)
O (0.545, 0.427, 0.837)
O (0.545, 0.594, 0.832)
O (0.548, 0.783, 0.446)
O (0.556, 0.104, 0.781)
O (0.556, 0.910, 0.889)
O (0.565, 0.592, 0.556)
O (0.572, 0.088, 0.496)
O (0.573, 0.566, 0.437)
O (0.575, 0.124, 0.889)
O (0.577, 0.917, 0.169)
O (0.579, 0.104, 0.166)
O (0.580, 0.786, 0.555)
O (0.580, 0.909, 0.780)
O (0.581, 0.915, 0.500)
O (0.591, 0.252, 0.107)
O (0.591, 0.254, 0.508)
O (0.591, 0.593, 0.154)
O (0.594, 0.767, 0.160)
O (0.595, 0.470, 0.227)
O (0.597, 0.437, 0.505)
O (0.602, 0.242, 0.825)
O (0.603, 0.781, 0.835)
O (0.743, 0.239, 0.332)
O (0.743, 0.786, 0.339)
O (0.745, 0.429, 0.019)
O (0.746, 0.549, 0.942)
O (0.750, 0.903, 0.005)
O (0.751, 0.471, 0.729)
O (0.753, 0.772, 0.057)
O (0.761, 0.597, 0.660)
O (0.764, 0.115, 0.392)
O (0.766, 0.102, 0.673)
O (0.766, 0.908, 0.279)
O (0.767, 0.775, 0.655)
O (0.770, 0.228, 0.616)
O (0.772, 0.258, 0.011)
O (0.777, 0.924, 0.668)
O (0.778, 0.775, 0.948)
O (0.781, 0.427, 0.329)
O (0.786, 0.105, 0.283)
O (0.786, 0.107, 0.007)
O (0.786, 0.598, 0.324)
O (0.788, 0.921, 0.388)
O (0.794, 0.237, 0.725)
O (0.811, 0.589, 0.056)
O (0.824, 0.008, 0.181)
O (0.827, 0.443, 0.614)
O (0.836, 0.014, 0.494)
O (0.843, 0.016, 0.774)
O (0.847, 0.683, 0.163)
O (0.858, 0.681, 0.554)
O (0.863, 0.353, 0.834)
O (0.864, 0.359, 0.118)
O (0.868, 0.668, 0.838)
O (0.869, 0.331, 0.506)
O (0.879, 0.003, 0.895)
O (0.898, 0.694, 0.446)
O (0.905, 0.330, 0.224)
O (0.937, 0.830, 0.726)
O (0.946, 0.194, 0.946)
O (0.970, 0.505, 0.393)
O (0.977, 0.823, 0.007)
O (0.978, 0.168, 0.337)
O (0.980, 0.853, 0.334)
O (0.981, 0.859, 0.620)
O (0.984, 0.180, 0.053)
O (0.992, 0.181, 0.667)